# 1
First-principles (PBE) data for an optimized crystal structure of Ba3SnS5, as listed in the Materials Project database.

Summary:
M_tot in μB per atom: 0.00
DFT formation energy in eV per atom: -1.801
Volume in Å³ per cell: 534
Symmetry: I4/mcm (140)
Energy in eV/atom: -4.91

a b c (Å): 9.4652 9.4652 9.4652
angles (deg): 126.19 126.19 79.58
Atoms (fractional coordinates):
Ba 0.2500 0.2500 0.0000
Ba 0.7500 0.7500 0.0000
Ba 0.8361 0.6639 0.5000
Ba 0.1639 0.3361 0.5000
Ba 0.3361 0.8361 0.1723
Ba 0.6639 0.1639 0.8277
Sn 0.2500 0.7500 0.5000
Sn 0.7500 0.2500 0.5000
S 0.5000 0.5000 0.0000
S 0.0000 0.0000 0.0000
S 0.5056 0.7011 0.5000
S 0.2011 0.0056 0.5000
S 0.0056 0.5056 0.8045
S 0.7011 0.2011 0.1955
S 0.4944 0.2989 0.5000
S 0.7989 0.9944 0.5000
S 0.9944 0.4944 0.1955
S 0.2989 0.7989 0.8045


# 2
First-principles (PBE) data for an optimized crystal structure of Mg2CrNi3S8, as listed in the Materials Project database.

Summary:
M_tot in μB per atom: 0.01
DFT formation energy in eV per atom: -0.872
Volume in Å³ per cell: 250
Symmetry: C2/m (12)
Energy in eV/atom: -5.10

a b c (Å): 7.0726 7.0668 7.0813
angles (deg): 59.78 60.03 59.95
Atoms (fractional coordinates):
Mg 0.8741 0.8762 0.8748
Mg 0.1258 0.1239 0.1251
Cr 0.5001 0.9998 0.5002
Ni 0.4999 0.5002 0.4999
Ni 0.5000 0.5000 0.0000
Ni 0.0000 0.5001 0.4999
S 0.7371 0.7300 0.7372
S 0.2637 0.2694 0.7035
S 0.2678 0.6982 0.2663
S 0.7043 0.2695 0.2636
S 0.7321 0.3020 0.7336
S 0.2956 0.7304 0.7365
S 0.2631 0.2698 0.2630
S 0.7363 0.7306 0.2965


# 3
First-principles (PBE) data for an optimized crystal structure of Si2SeN2, as listed in the Materials Project database.

Summary:
M_tot in μB per atom: 0.00
DFT formation energy in eV per atom: -0.943
Volume in Å³ per cell: 150
Symmetry: Cmc2_1 (36)
Energy in eV/atom: -7.00

a b c (Å): 6.1096 5.6243 4.9135
angles (deg): 90.00 90.00 117.41
Atoms (fractional coordinates):
Si 0.6233 0.1666 0.9089
Si 0.3767 0.5433 0.9089
Si 0.3767 0.8334 0.4089
Si 0.6233 0.4567 0.4089
Se 0.0000 0.7797 0.2673
Se 0.0000 0.2203 0.7673
N 0.5527 0.1491 0.2542
N 0.4473 0.5964 0.2542
N 0.4473 0.8509 0.7542
N 0.5527 0.4036 0.7542


# 4
First-principles (PBE) data for an optimized crystal structure of Ba13B30Pb2O60, as listed in the Materials Project database.

Summary:
M_tot in μB per atom: 0.00
DFT formation energy in eV per atom: -3.009
Volume in Å³ per cell: 1524
Symmetry: C2 (5)
Energy in eV/atom: -7.66

a b c (Å): 7.8715 7.8715 30.1294
angles (deg): 85.81 85.81 55.01
Atoms (fractional coordinates):
Ba 0.8775 0.4781 0.7601
Ba 0.4774 0.0774 0.9604
Ba 0.0774 0.6775 0.1604
Ba 0.6765 0.2759 0.3608
Ba 0.2766 0.8766 0.5605
Ba 0.9226 0.5226 0.0396
Ba 0.5219 0.1225 0.2399
Ba 0.1234 0.7234 0.4395
Ba 0.7241 0.3235 0.6392
Ba 0.3225 0.9226 0.8396
Ba 0.6002 0.2000 0.8000
Ba 0.2000 0.8000 0.0000
Ba 0.8000 0.3998 0.2000
B 0.1052 0.5588 0.9264
B 0.7052 0.1588 0.1264
B 0.3052 0.7622 0.3266
B 0.9037 0.3632 0.5265
B 0.5037 0.9598 0.7263
B 0.1147 0.4714 0.8484
B 0.7147 0.0714 0.0484
B 0.3148 0.6713 0.2488
B 0.9189 0.2702 0.4487
B 0.5188 0.8702 0.6483
B 0.8127 0.8026 0.8777
B 0.4127 0.4026 0.0777
B 0.0123 0.0024 0.2777
B 0.6139 0.6033 0.4768
B 0.2143 0.2035 0.6767
B 0.5974 0.5873 0.9223
B 0.1974 0.1873 0.1223
B 0.7965 0.7857 0.3233
B 0.3967 0.3861 0.5232
B 0.9976 0.9877 0.7223
B 0.8412 0.2948 0.8736
B 0.4412 0.8948 0.0736
B 0.0402 0.4963 0.2737
B 0.6368 0.0963 0.4735
B 0.2378 0.6948 0.6734
B 0.9286 0.2853 0.9516
B 0.5286 0.8853 0.1516
B 0.1298 0.4812 0.3517
B 0.7298 0.0811 0.5513
B 0.3287 0.6852 0.7512
Pb 0.3999 0.0001 0.4000
Pb 0.9999 0.6001 0.6000
O 0.2063 0.4272 0.8900
O 0.8063 0.0272 0.0900
O 0.4057 0.6280 0.2905
O 0.0059 0.2278 0.4908
O 0.6066 0.8271 0.6902
O 0.9217 0.6646 0.8427
O 0.5217 0.2646 0.0427
O 0.1221 0.8645 0.2428
O 0.7243 0.4613 0.4425
O 0.3239 0.0614 0.6425
O 0.9128 0.7493 0.9186
O 0.5128 0.3493 0.1186
O 0.1117 0.9502 0.3186
O 0.7100 0.5512 0.5182
O 0.3110 0.1502 0.7181
O 0.6507 0.4872 0.8814
O 0.2507 0.0872 0.0814
O 0.8498 0.6890 0.2819
O 0.4488 0.2900 0.4818
O 0.0498 0.8883 0.6814
O 0.9728 0.1937 0.9100
O 0.5728 0.7937 0.1100
O 0.1729 0.3934 0.3098
O 0.7722 0.9941 0.5092
O 0.3720 0.5943 0.7095
O 0.7354 0.4783 0.9573
O 0.3354 0.0783 0.1573
O 0.9386 0.6761 0.3575
O 0.5387 0.2757 0.5575
O 0.1355 0.8779 0.7572
O 0.1892 0.5005 0.9661
O 0.7892 0.1004 0.1661
O 0.3903 0.7066 0.3664
O 0.9886 0.3082 0.5664
O 0.5875 0.9019 0.7661
O 0.2011 0.3382 0.8157
O 0.8011 0.9382 0.0157
O 0.4015 0.5380 0.2161
O 0.0094 0.1367 0.4158
O 0.6090 0.7368 0.6154
O 0.6226 0.9745 0.8735
O 0.2226 0.5745 0.0735
O 0.8216 0.1738 0.2735
O 0.4244 0.7776 0.4718
O 0.0254 0.3783 0.6718
O 0.4255 0.7774 0.9265
O 0.0255 0.3774 0.1265
O 0.6217 0.9746 0.3282
O 0.2224 0.5756 0.5282
O 0.8262 0.1784 0.7265
O 0.8996 0.2108 0.8339
O 0.4995 0.8108 0.0339
O 0.0981 0.4125 0.2339
O 0.6918 0.0114 0.4336
O 0.2934 0.6097 0.6336
O 0.0618 0.1989 0.9843
O 0.6618 0.7989 0.1843
O 0.2632 0.3910 0.3846
O 0.8633 0.9906 0.5842
O 0.4620 0.5985 0.7839